Model i:
The following is a DFT calculation (GGA+U) of a relaxed Mn3NiO8 crystal.

Cell and atoms, written as POSCAR:
```
Mn3NiO8
1.0
8.1420 0.0000 0.0000
0.0000 8.1420 0.0000
0.0000 0.0000 8.1420
Mn Ni O
12 4 32
Direct
0.1219 0.3750 0.3719 Mn
0.1250 0.6281 0.6219 Mn
0.1281 0.8781 0.8750 Mn
0.3719 0.1219 0.3750 Mn
0.3750 0.3719 0.1219 Mn
0.3781 0.6250 0.8719 Mn
0.6219 0.1250 0.6281 Mn
0.6250 0.8719 0.3781 Mn
0.6281 0.6219 0.1250 Mn
0.8719 0.3781 0.6250 Mn
0.8750 0.1281 0.8781 Mn
0.8781 0.8750 0.1281 Mn
0.1250 0.1250 0.1250 Ni
0.3750 0.8750 0.6250 Ni
0.6250 0.3750 0.8750 Ni
0.8750 0.6250 0.3750 Ni
0.1077 0.6120 0.3855 O
0.1096 0.3904 0.6096 O
0.1120 0.1145 0.8923 O
0.1145 0.8923 0.1120 O
0.1355 0.1380 0.3577 O
0.1380 0.3577 0.1355 O
0.1404 0.6404 0.8596 O
0.1423 0.8645 0.6380 O
0.3577 0.1355 0.1380 O
0.3596 0.3596 0.3596 O
0.3620 0.6423 0.6355 O
0.3645 0.8620 0.8577 O
0.3855 0.1077 0.6120 O
0.3880 0.8855 0.3923 O
0.3904 0.6096 0.1096 O
0.3923 0.3880 0.8855 O
0.6077 0.8880 0.6145 O
0.6096 0.1096 0.3904 O
0.6120 0.3855 0.1077 O
0.6145 0.6077 0.8880 O
0.6355 0.3620 0.6423 O
0.6380 0.1423 0.8645 O
0.6404 0.8596 0.1404 O
0.6423 0.6355 0.3620 O
0.8577 0.3645 0.8620 O
0.8596 0.1404 0.6404 O
0.8620 0.8577 0.3645 O
0.8645 0.6380 0.1423 O
0.8855 0.3923 0.3880 O
0.8880 0.6145 0.6077 O
0.8904 0.8904 0.8904 O
0.8923 0.1120 0.1145 O
```

Values from the calculation:
piezoelectric modulus e_max	0.0	C/m2
total magnetization	9.00	μB per formula unit
space-group type	P4_332 (212)


Model ii:
The following is a DFT calculation (GGA+U) of a relaxed Mn3NiO8 crystal.

Cell and atoms, written as POSCAR:
```
Mn3NiO8
1.0
2.9164 1.6838 4.5712
-2.9164 1.6838 4.5712
0.0000 -3.3676 4.5712
Mn Ni O
3 1 8
Direct
0.0000 0.5000 0.5000 Mn
0.5000 0.0000 0.5000 Mn
0.5000 0.5000 0.0000 Mn
0.0000 0.0000 0.0000 Ni
0.2342 0.2342 0.7413 O
0.2342 0.7413 0.2342 O
0.2587 0.7658 0.7658 O
0.2632 0.2632 0.2632 O
0.7368 0.7368 0.7368 O
0.7413 0.2342 0.2342 O
0.7658 0.2587 0.7658 O
0.7658 0.7658 0.2587 O
```

Values from the calculation:
total magnetization	9.00	μB per formula unit
space-group type	R-3m (166)


Which is the most stable structure? model ii is the most stable.


Model i:
The following is a DFT calculation (GGA+U) of a relaxed Mn2NiO14 crystal.

Cell and atoms, written as POSCAR:
```
Mn2NiO14
1.0
6.6072 -3.9301 0.0000
6.6072 3.9301 0.0000
-0.1130 0.0000 5.2075
Mn Ni O
2 1 14
Direct
0.0000 0.0000 0.0000 Mn
0.6672 0.6672 0.5078 Mn
0.3330 0.3330 0.2406 Ni
0.1348 0.4596 0.0099 O
0.2080 0.5312 0.4739 O
0.2245 0.8896 0.1052 O
0.2400 0.2400 0.4987 O
0.4279 0.4279 0.9864 O
0.4413 0.7759 0.6058 O
0.4596 0.1348 0.0099 O
0.5312 0.2080 0.4739 O
0.6659 0.6659 0.1954 O
0.7759 0.4413 0.6058 O
0.7830 0.7830 0.6133 O
0.8824 0.8824 0.0920 O
0.8896 0.2245 0.1052 O
0.9989 0.9989 0.6882 O
```

Values from the calculation:
total magnetization	10.00	μB per formula unit
space-group type	Cm (8)


Model ii:
The following is a DFT calculation (GGA+U) of a relaxed Mn2NiO14 crystal.

Cell and atoms, written as POSCAR:
```
Mn2NiO14
1.0
7.6256 0.0000 0.0000
-3.8128 6.6040 0.0000
0.0000 0.0000 4.4804
Mn Ni O
2 1 14
Direct
0.0000 0.0000 0.0000 Mn
0.3333 0.6667 0.5070 Mn
0.6667 0.3333 0.2615 Ni
0.0000 0.0000 0.3612 O
0.1182 0.2364 0.8914 O
0.1182 0.8818 0.8914 O
0.2173 0.4347 0.3988 O
0.2173 0.7827 0.3988 O
0.3333 0.6667 0.8690 O
0.4671 0.2335 0.5619 O
0.5638 0.1277 0.9734 O
0.5638 0.4362 0.9734 O
0.5653 0.7827 0.3988 O
0.7636 0.8818 0.8914 O
0.7665 0.2335 0.5619 O
0.7665 0.5329 0.5619 O
0.8723 0.4362 0.9734 O
```

Values from the calculation:
total magnetization	10.00	μB per formula unit
space-group type	P3m1 (156)


Which is the most stable structure? model ii is the most stable.


Model i:
The following is a DFT calculation (GGA+U) of a relaxed MnNiP2O8 crystal.

Cell and atoms, written as POSCAR:
```
MnNiP2O8
1.0
4.2586 2.4587 6.8312
-4.2586 2.4587 6.8312
0.0000 -4.9174 6.8312
Mn Ni P O
3 3 6 24
Direct
0.0000 0.0000 0.0000 Mn
0.2172 0.2172 0.2172 Mn
0.7166 0.7166 0.7166 Mn
0.3612 0.3612 0.3612 Ni
0.4995 0.4995 0.4995 Ni
0.8589 0.8589 0.8589 Ni
0.1076 0.8167 0.3976 P
0.3170 0.6065 0.9004 P
0.3976 0.1076 0.8167 P
0.6065 0.9004 0.3170 P
0.8167 0.3976 0.1076 P
0.9004 0.3170 0.6065 P
0.0401 0.8578 0.2383 O
0.1045 0.3015 0.4444 O
0.1151 0.7732 0.9208 O
0.1677 0.9789 0.3659 O
0.2383 0.0401 0.8578 O
0.2627 0.6187 0.4148 O
0.3015 0.4444 0.1045 O
0.3427 0.5466 0.7472 O
0.3659 0.1677 0.9789 O
0.4148 0.2627 0.6187 O
0.4444 0.1045 0.3015 O
0.4790 0.6667 0.8684 O
0.5466 0.7472 0.3427 O
0.5979 0.9380 0.8101 O
0.6187 0.4148 0.2627 O
0.6667 0.8684 0.4790 O
0.7472 0.3427 0.5466 O
0.7732 0.9208 0.1151 O
0.8101 0.5979 0.9380 O
0.8578 0.2383 0.0401 O
0.8684 0.4790 0.6667 O
0.9208 0.1151 0.7732 O
0.9380 0.8101 0.5979 O
0.9789 0.3659 0.1677 O
```

Values from the calculation:
total magnetization	5.00	μB per formula unit
space-group type	R3 (146)


Model ii:
The following is a DFT calculation (GGA+U) of a relaxed MnNiP2O8 crystal.

Cell and atoms, written as POSCAR:
```
MnNiP2O8
1.0
4.3185 2.4933 6.9569
-4.3185 2.4933 6.9569
0.0000 -4.9866 6.9569
Mn Ni P O
3 3 6 24
Direct
0.0000 0.0000 0.0000 Mn
0.1445 0.1445 0.1445 Mn
0.6424 0.6424 0.6424 Mn
0.2855 0.2855 0.2855 Ni
0.5000 0.5000 0.5000 Ni
0.7849 0.7849 0.7849 Ni
0.0978 0.6839 0.3917 P
0.1854 0.6033 0.8923 P
0.3917 0.0978 0.6839 P
0.6033 0.8923 0.1854 P
0.6839 0.3917 0.0978 P
0.8923 0.1854 0.6033 P
0.0333 0.6325 0.8272 O
0.0556 0.1965 0.4070 O
0.0821 0.8851 0.2260 O
0.1277 0.5286 0.3319 O
0.1459 0.7641 0.9550 O
0.1965 0.4070 0.0556 O
0.2260 0.0821 0.8851 O
0.2511 0.6576 0.4522 O
0.3319 0.1277 0.5286 O
0.3847 0.5893 0.7348 O
0.4070 0.0556 0.1965 O
0.4522 0.2511 0.6576 O
0.5286 0.3319 0.1277 O
0.5500 0.8969 0.7037 O
0.5893 0.7348 0.3847 O
0.6325 0.8272 0.0333 O
0.6576 0.4522 0.2511 O
0.7037 0.5500 0.8969 O
0.7348 0.3847 0.5893 O
0.7641 0.9550 0.1459 O
0.8272 0.0333 0.6325 O
0.8851 0.2260 0.0821 O
0.8969 0.7037 0.5500 O
0.9550 0.1459 0.7641 O
```

Values from the calculation:
total magnetization	5.00	μB per formula unit
space-group type	R3 (146)


Which is the most stable structure? model i is the most stable.


Model i:
The following is a DFT calculation (GGA+U) of a relaxed Mn2V3NiO8 crystal.

Cell and atoms, written as POSCAR:
```
Mn2V3NiO8
1.0
6.0821 0.0000 0.0000
2.9706 5.3266 0.0000
2.8584 1.6015 9.9672
Mn V Ni O
4 6 2 16
Direct
0.1817 0.1949 0.4338 Mn
0.3174 0.3060 0.0663 Mn
0.6826 0.6940 0.9337 Mn
0.8183 0.8051 0.5662 Mn
0.2504 0.2496 0.7502 V
0.2501 0.7501 0.2503 V
0.2500 0.7501 0.7500 V
0.7500 0.2499 0.2500 V
0.7499 0.2499 0.7497 V
0.7496 0.7504 0.2498 V
0.0000 0.0000 0.0000 Ni
0.5000 0.5000 0.5000 Ni
0.1082 0.1030 0.1411 O
0.1093 0.1256 0.6420 O
0.1225 0.6513 0.1376 O
0.1608 0.5955 0.6346 O
0.3421 0.9039 0.8646 O
0.3759 0.8503 0.3617 O
0.3912 0.3752 0.8578 O
0.3908 0.3975 0.3594 O
0.6092 0.6025 0.6406 O
0.6088 0.6248 0.1422 O
0.6241 0.1497 0.6383 O
0.6579 0.0961 0.1354 O
0.8392 0.4045 0.3654 O
0.8775 0.3487 0.8624 O
0.8907 0.8744 0.3580 O
0.8918 0.8970 0.8589 O
```

Values from the calculation:
space-group type	P-1 (2)


Model ii:
The following is a DFT calculation (GGA+U) of a relaxed Mn2V3NiO8 crystal.

Cell and atoms, written as POSCAR:
```
Mn2V3NiO8
1.0
6.0623 0.0000 0.0000
2.9662 5.3297 0.0000
2.8481 1.6068 9.9754
Mn V Ni O
4 6 2 16
Direct
0.0682 0.0561 0.3151 Mn
0.4321 0.4434 0.1854 Mn
0.5679 0.5566 0.8146 Mn
0.9318 0.9439 0.6849 Mn
0.0000 0.0000 0.0000 V
0.0000 0.5000 0.0000 V
0.0000 0.5000 0.5000 V
0.5000 0.0000 0.0000 V
0.5000 0.0000 0.5000 V
0.5000 0.5000 0.5000 V
0.2499 0.2498 0.7499 Ni
0.7501 0.7502 0.2501 Ni
0.0917 0.6542 0.1145 O
0.1277 0.5984 0.6124 O
0.1411 0.1255 0.1081 O
0.1405 0.1489 0.6076 O
0.3592 0.3518 0.8917 O
0.3588 0.3745 0.3921 O
0.3718 0.9017 0.8872 O
0.4090 0.8447 0.3859 O
0.5910 0.1553 0.6141 O
0.6282 0.0983 0.1128 O
0.6412 0.6255 0.6079 O
0.6408 0.6482 0.1083 O
0.8595 0.8511 0.3924 O
0.8589 0.8745 0.8919 O
0.8723 0.4016 0.3876 O
0.9083 0.3458 0.8855 O
```

Values from the calculation:
total magnetization	10.16	μB per formula unit
space-group type	P-1 (2)


Model iii:
The following is a DFT calculation (GGA+U) of a relaxed Mn2V3NiO8 crystal.

Cell and atoms, written as POSCAR:
```
Mn2V3NiO8
1.0
3.0499 1.7609 4.9962
-3.0499 1.7609 4.9962
0.0000 -3.5217 4.9962
Mn V Ni O
2 3 1 8
Direct
0.1235 0.1235 0.1235 Mn
0.8765 0.8765 0.8765 Mn
0.0000 0.5000 0.5000 V
0.5000 0.0000 0.5000 V
0.5000 0.5000 0.0000 V
0.5000 0.5000 0.5000 Ni
0.2567 0.2567 0.7116 O
0.2567 0.7116 0.2567 O
0.2627 0.2627 0.2627 O
0.2884 0.7433 0.7433 O
0.7116 0.2567 0.2567 O
0.7373 0.7373 0.7373 O
0.7433 0.2884 0.7433 O
0.7433 0.7433 0.2884 O
```

Values from the calculation:
total magnetization	17.00	μB per formula unit
space-group type	R-3m (166)


Which is the most stable structure? model i is the most stable.